{"formula": "Re3Ru", "functional": "PBE", "state": "relaxed", "ef_ev_per_atom": -0.052, "lattice_angstrom": [[5.553, 0.000, 0.000], [-2.777, 4.809, 0.000], [0.000, 0.000, 4.426]], "species": ["Re", "Re", "Re", "Re", "Re", "Re", "Ru", "Ru"], "frac_coords": [[0.164, 0.329, 0.250], [0.164, 0.836, 0.250], [0.329, 0.164, 0.750], [0.671, 0.836, 0.250], [0.836, 0.164, 0.750], [0.836, 0.671, 0.750], [0.333, 0.667, 0.750], [0.667, 0.333, 0.250]]}